A relaxed structure of LiV3OF11. Source: Materials Project, functional GGA+U.

Structure (POSCAR):
```
LiV3OF11
1.0
-0.455 -1.859 6.001
3.756 6.747 -0.414
-7.193 7.823 -0.761
F V Li O
22 6 2 2
direct
0.684 0.273 0.199
0.944 0.042 0.811
0.423 0.303 0.721
0.199 0.312 0.926
0.686 0.772 0.699
0.944 0.542 0.311
0.201 0.084 0.167
0.692 0.494 0.955
0.315 0.707 0.910
0.793 0.526 0.527
0.315 0.207 0.409
0.116 0.975 0.628
0.793 0.026 0.027
0.692 0.994 0.455
0.587 0.122 0.629
0.351 0.513 0.476
0.422 0.803 0.221
0.114 0.474 0.128
0.199 0.812 0.426
0.587 0.623 0.129
0.350 0.013 0.976
0.201 0.584 0.667
0.070 0.561 0.497
0.299 0.238 0.567
0.070 0.062 0.997
0.813 0.520 0.126
0.814 0.020 0.625
0.298 0.737 0.067
0.427 0.028 0.319
0.427 0.528 0.819
0.014 0.270 0.557
0.013 0.770 0.057
```

Values from the calculation:
As for the crystal system: triclinic. As for the total moment: 0.000 μB per formula unit. As for the energy above the most stable polymorph in this dataset: 0.004 eV/atom. The energy relative to the elements is -2.975 eV per atom. For the volume, the calculation gives 457.5 Å³ per cell.


A relaxed structure of BaCaEuFeO6. Source: Materials Project, functional GGA+U.

Structure (POSCAR):
```
BaCaEuFeO6
1.0
0.812 5.679 -0.838
-4.504 3.411 -1.302
-1.968 3.815 3.897
O Fe Ca Ba Eu
6 1 1 1 1
direct
0.272 0.728 0.272
0.728 0.272 0.272
0.272 0.728 0.728
0.728 0.272 0.728
0.728 0.728 0.272
0.272 0.272 0.728
0.500 0.500 0.500
0.000 0.000 0.000
0.750 0.750 0.750
0.250 0.250 0.250
```

Values from the calculation:
As for the crystal system: cubic. As for the total moment: 9.000 μB per formula unit. The energy relative to the elements is -2.409 eV per atom. For the volume, the calculation gives 137.8 Å³ per cell.


A relaxed structure of Li3Fe3O4F4. Source: Materials Project, functional GGA+U.

Structure (POSCAR):
```
Li3Fe3O4F4
1.0
3.037 0.000 0.000
0.000 5.073 0.000
0.000 0.092 9.836
F Fe O Li
4 3 4 3
direct
0.500 0.786 0.978
0.000 0.666 0.728
0.000 0.215 0.038
0.500 0.198 0.776
0.500 0.468 0.630
0.000 0.528 0.363
0.500 0.024 0.154
0.500 0.302 0.284
0.000 0.282 0.536
0.500 0.700 0.466
0.000 0.805 0.212
0.000 0.585 0.036
0.500 0.066 0.459
0.000 0.002 0.840
```

Values from the calculation:
As for the crystal system: monoclinic. As for the total moment: 14.999 μB per formula unit. The energy relative to the elements is -2.331 eV per atom. For the volume, the calculation gives 151.5 Å³ per cell.


A relaxed structure of Li8TiNi7O16. Source: Materials Project, functional GGA+U.

Structure (POSCAR):
```
Li8TiNi7O16
1.0
6.479 0.000 0.000
2.004 6.200 0.000
3.231 0.964 6.927
O Ni Li Ti
16 7 8 1
direct
0.090 0.151 0.732
0.462 0.756 0.593
0.335 0.902 0.963
0.820 0.404 0.467
0.212 0.012 0.343
0.416 0.366 0.764
0.287 0.489 0.154
0.694 0.530 0.853
0.673 0.081 0.031
0.540 0.238 0.407
0.180 0.588 0.529
0.797 0.983 0.632
0.567 0.646 0.244
0.927 0.851 0.271
0.047 0.722 0.909
0.965 0.259 0.107
0.623 0.374 0.127
0.250 0.748 0.252
0.877 0.125 0.374
0.751 0.251 0.748
0.376 0.625 0.875
0.498 0.499 0.501
0.127 0.872 0.622
0.811 0.690 0.557
0.677 0.814 0.929
0.560 0.930 0.314
0.443 0.070 0.684
0.323 0.180 0.069
0.943 0.551 0.190
0.188 0.312 0.444
0.065 0.447 0.807
0.000 0.004 0.989
```

Values from the calculation:
As for the crystal system: triclinic. As for the total moment: 8.000 μB per formula unit. The energy relative to the elements is -1.740 eV per atom. For the volume, the calculation gives 278.3 Å³ per cell.


A relaxed structure of Li4V3P8O29. Source: Materials Project, functional GGA+U.

Structure (POSCAR):
```
Li4V3P8O29
1.0
-0.605 -4.664 -8.560
-2.099 -4.785 8.297
-13.667 4.202 -1.272
O Li V P
58 8 6 16
direct
0.671 0.491 0.329
0.660 0.742 0.333
0.900 0.519 0.177
0.076 0.621 0.332
0.661 0.187 0.816
0.825 0.485 0.825
0.475 0.378 0.181
0.616 0.091 0.185
0.977 0.197 0.764
0.543 0.925 0.335
0.183 0.519 0.168
0.223 0.229 0.085
0.807 0.328 0.328
0.790 0.785 0.747
0.624 0.517 0.665
0.482 0.814 0.675
0.336 0.514 0.666
0.226 0.252 0.437
0.517 0.627 0.820
0.086 0.746 0.832
0.258 0.916 0.333
0.513 0.190 0.328
0.675 0.340 0.968
0.907 0.375 0.670
0.095 0.475 0.817
0.252 0.339 0.833
0.010 0.798 0.238
0.341 0.080 0.165
0.235 0.984 0.935
0.011 0.262 0.937
0.481 0.662 0.180
0.463 0.087 0.666
0.385 0.475 0.325
0.737 0.085 0.662
0.912 0.249 0.162
0.665 0.922 0.827
0.796 0.000 0.252
0.353 0.683 0.033
0.791 0.765 0.569
0.918 0.650 0.668
0.530 0.347 0.821
0.219 0.201 0.262
0.996 0.807 0.413
0.750 0.985 0.078
0.799 0.989 0.429
0.990 0.747 0.065
0.761 0.765 0.922
0.662 0.345 0.473
0.384 0.910 0.818
0.741 0.658 0.160
0.337 0.254 0.660
0.090 0.347 0.326
0.189 0.664 0.676
0.213 0.013 0.759
0.008 0.205 0.589
0.192 0.990 0.581
0.330 0.665 0.526
0.338 0.817 0.183
0.687 0.776 0.047
0.223 0.919 0.059
0.647 0.318 0.602
0.078 0.303 0.061
0.232 0.326 0.563
0.774 0.690 0.441
0.912 0.686 0.935
0.003 0.984 0.509
0.995 0.432 0.252
0.439 0.002 0.261
0.434 0.431 0.752
0.567 0.999 0.747
0.012 0.568 0.746
0.562 0.564 0.250
0.313 0.222 0.166
0.909 0.677 0.155
0.701 0.919 0.344
0.083 0.780 0.336
0.088 0.317 0.846
0.299 0.081 0.659
0.767 0.081 0.162
0.775 0.678 0.657
0.338 0.665 0.629
0.229 0.318 0.344
0.667 0.338 0.369
0.675 0.339 0.865
0.232 0.916 0.841
0.912 0.217 0.666
0.680 0.771 0.834
0.332 0.669 0.135
```

Values from the calculation:
As for the crystal system: triclinic. As for the total moment: 0.999 μB per formula unit. As for the energy above the most stable polymorph in this dataset: 0.012 eV/atom. The energy relative to the elements is -2.571 eV per atom. For the volume, the calculation gives 1194.0 Å³ per cell.


A relaxed structure of Li3V3P8O29. Source: Materials Project, functional GGA+U.

Structure (POSCAR):
```
Li3V3P8O29
1.0
-9.733 0.000 0.000
4.852 8.478 0.000
-0.047 -0.219 -14.225
O V P Li
58 6 16 6
direct
0.669 0.326 0.470
0.898 0.379 0.679
0.538 0.617 0.829
0.185 0.659 0.677
0.738 0.653 0.171
0.005 0.800 0.247
0.002 0.767 0.427
0.522 0.331 0.823
0.086 0.474 0.825
0.460 0.383 0.171
0.995 0.206 0.751
0.794 0.797 0.746
0.523 0.907 0.320
0.342 0.256 0.665
0.338 0.516 0.673
0.658 0.746 0.334
0.819 0.492 0.829
0.482 0.816 0.676
0.526 0.182 0.317
0.323 0.646 0.028
0.240 0.001 0.568
0.021 0.239 0.931
0.913 0.656 0.664
0.196 0.204 0.084
0.813 0.010 0.076
0.481 0.668 0.177
0.652 0.912 0.834
0.081 0.341 0.338
0.801 0.011 0.255
0.472 0.089 0.683
0.740 0.080 0.661
0.333 0.659 0.528
0.236 0.253 0.437
0.184 0.509 0.174
0.261 0.350 0.828
0.212 0.202 0.261
0.978 0.763 0.068
0.998 0.240 0.573
0.380 0.479 0.324
0.916 0.263 0.164
0.345 0.087 0.164
0.195 0.993 0.928
0.202 0.998 0.748
0.671 0.344 0.973
0.676 0.190 0.825
0.081 0.742 0.833
0.656 0.473 0.323
0.618 0.074 0.166
0.096 0.623 0.319
0.820 0.336 0.325
0.328 0.810 0.173
0.911 0.530 0.175
0.761 0.764 0.570
0.794 0.791 0.923
0.379 0.920 0.831
0.261 0.919 0.330
0.757 0.000 0.430
0.619 0.525 0.676
0.432 0.998 0.245
0.001 0.441 0.250
0.441 0.433 0.754
0.563 0.567 0.250
0.003 0.571 0.744
0.560 0.002 0.758
0.331 0.662 0.131
0.339 0.664 0.632
0.770 0.685 0.656
0.907 0.226 0.661
0.230 0.320 0.346
0.090 0.780 0.341
0.782 0.085 0.157
0.684 0.915 0.339
0.312 0.083 0.657
0.304 0.222 0.163
0.216 0.918 0.842
0.694 0.779 0.840
0.911 0.688 0.160
0.666 0.332 0.366
0.674 0.340 0.869
0.089 0.319 0.840
0.230 0.310 0.562
0.096 0.329 0.058
0.903 0.670 0.944
0.685 0.907 0.554
0.912 0.225 0.441
0.998 0.002 0.007
```

Values from the calculation:
As for the crystal system: triclinic. As for the total moment: 0.001 μB per formula unit. As for the energy above the most stable polymorph in this dataset: 0.015 eV/atom. The energy relative to the elements is -2.518 eV per atom. For the volume, the calculation gives 1173.9 Å³ per cell.


A relaxed structure of MgVSi2O6. Source: Materials Project, functional GGA+U.

Structure (POSCAR):
```
MgVSi2O6
1.0
-4.195 -2.423 2.093
0.155 -6.005 -6.639
11.331 -10.887 10.111
V Si Mg O
8 16 8 48
direct
0.143 0.478 0.122
0.857 0.522 0.878
0.857 0.022 0.622
0.143 0.978 0.378
0.643 0.522 0.378
0.643 0.022 0.122
0.357 0.978 0.878
0.357 0.478 0.622
0.799 0.838 0.976
0.552 0.658 0.769
0.552 0.158 0.731
0.799 0.338 0.524
0.052 0.342 0.731
0.299 0.662 0.976
0.948 0.158 0.231
0.448 0.842 0.269
0.948 0.658 0.269
0.201 0.162 0.024
0.701 0.338 0.024
0.052 0.842 0.769
0.201 0.662 0.476
0.701 0.838 0.476
0.448 0.342 0.231
0.299 0.162 0.524
0.372 0.347 0.876
0.872 0.653 0.624
0.372 0.847 0.624
0.628 0.153 0.376
0.128 0.347 0.376
0.872 0.153 0.876
0.628 0.653 0.124
0.128 0.847 0.124
0.792 0.488 0.063
0.796 0.336 0.437
0.040 0.340 0.818
0.462 0.000 0.309
0.098 0.799 0.948
0.208 0.012 0.563
0.038 0.000 0.809
0.902 0.701 0.448
0.540 0.160 0.818
0.962 0.500 0.309
0.902 0.201 0.052
0.708 0.488 0.563
0.833 0.223 0.700
0.667 0.723 0.300
0.598 0.201 0.552
0.208 0.512 0.937
0.704 0.336 0.937
0.960 0.160 0.318
0.038 0.500 0.691
0.792 0.988 0.437
0.296 0.164 0.437
0.292 0.512 0.437
0.462 0.500 0.191
0.704 0.836 0.563
0.204 0.664 0.563
0.167 0.777 0.300
0.333 0.277 0.700
0.460 0.840 0.182
0.040 0.840 0.682
0.402 0.299 0.052
0.460 0.340 0.318
0.708 0.988 0.937
0.796 0.836 0.063
0.540 0.660 0.682
0.962 0.000 0.191
0.296 0.664 0.063
0.402 0.799 0.448
0.098 0.299 0.552
0.167 0.277 0.200
0.538 0.000 0.691
0.333 0.777 0.800
0.538 0.500 0.809
0.204 0.164 0.937
0.598 0.701 0.948
0.960 0.660 0.182
0.667 0.223 0.200
0.292 0.012 0.063
0.833 0.723 0.800
```

Values from the calculation:
As for the crystal system: orthorhombic. As for the total moment: 3.000 μB per formula unit. As for the energy above the most stable polymorph in this dataset: 0.000 eV/atom. The energy relative to the elements is -3.013 eV per atom. For the volume, the calculation gives 882.9 Å³ per cell.


A relaxed structure of LiV2F9. Source: Materials Project, functional GGA+U.

Structure (POSCAR):
```
LiV2F9
1.0
-2.479 -2.638 -3.586
-0.970 -4.948 0.736
-12.596 3.372 6.201
F V Li
18 4 2
direct
0.701 0.315 0.589
0.971 0.711 0.585
0.322 0.715 0.413
0.266 0.014 0.250
0.980 0.701 0.913
0.014 0.266 0.750
0.968 0.321 0.091
0.315 0.976 0.917
0.011 0.721 0.253
0.715 0.322 0.913
0.721 0.011 0.753
0.711 0.971 0.085
0.264 0.725 0.751
0.321 0.968 0.591
0.701 0.980 0.413
0.976 0.315 0.417
0.725 0.264 0.251
0.315 0.701 0.089
0.000 0.005 0.851
0.005 0.000 0.351
0.999 0.998 0.152
0.998 0.999 0.652
0.664 0.670 0.002
0.670 0.664 0.502
```

Values from the calculation:
As for the crystal system: monoclinic. As for the total moment: 2.000 μB per formula unit. As for the energy above the most stable polymorph in this dataset: 0.003 eV/atom. The energy relative to the elements is -3.014 eV per atom. For the volume, the calculation gives 326.0 Å³ per cell.


A relaxed structure of Ba3Cr2O8. Source: Materials Project, functional GGA+U.

Structure (POSCAR):
```
Ba3Cr2O8
1.0
3.139 -4.932 -0.001
5.429 -0.006 5.839
-7.746 -4.935 4.276
Ba O Cr
6 16 4
direct
0.810 0.381 0.397
0.504 0.000 0.507
0.690 0.619 0.103
0.191 0.619 0.603
0.999 0.000 0.007
0.309 0.381 0.897
0.653 0.697 0.622
0.995 0.015 0.327
0.105 0.304 0.140
0.516 0.984 0.156
0.890 0.697 0.865
0.092 0.303 0.640
0.854 0.302 0.878
0.392 0.698 0.366
0.914 0.696 0.366
0.607 0.303 0.637
0.591 0.303 0.137
0.486 0.016 0.827
0.997 0.985 0.657
0.411 0.698 0.866
0.151 0.697 0.122
0.344 0.302 0.378
0.890 0.221 0.704
0.610 0.780 0.797
0.390 0.221 0.204
0.111 0.779 0.297
```

Values from the calculation:
As for the crystal system: triclinic. As for the total moment: 2.000 μB per formula unit. As for the energy above the most stable polymorph in this dataset: 0.000 eV/atom. The energy relative to the elements is -2.629 eV per atom. For the volume, the calculation gives 427.9 Å³ per cell.